Record 1
GdHoTl2 | the Materials Project database | r2SCAN | relaxed; total energy = -46.090 eV/atom
1.0
7.570 0.000 0.000
0.000 7.570 0.000
0.000 0.000 7.570
Gd Ho Tl
4 4 8
direct
0.000 0.000 0.000
0.000 0.500 0.500
0.500 0.000 0.500
0.500 0.500 0.000
0.000 0.000 0.500
0.000 0.500 0.000
0.500 0.000 0.000
0.500 0.500 0.500
0.250 0.250 0.250
0.250 0.250 0.750
0.250 0.750 0.250
0.250 0.750 0.750
0.750 0.250 0.250
0.750 0.250 0.750
0.750 0.750 0.250
0.750 0.750 0.750

=====

Record 2
Sc2Al3Ru | the Materials Project database | r2SCAN | relaxed; total energy = -12.103 eV/atom
1.0
5.278 0.000 0.000
-2.639 4.571 0.000
0.000 0.000 8.540
Sc Al Ru
4 6 2
direct
0.333 0.667 0.055
0.333 0.667 0.445
0.667 0.333 0.555
0.667 0.333 0.945
0.165 0.329 0.750
0.165 0.835 0.750
0.329 0.165 0.250
0.671 0.835 0.750
0.835 0.165 0.250
0.835 0.671 0.250
0.000 0.000 0.000
0.000 0.000 0.500

=====

Record 3
Pm2AgSn | the Materials Project database | r2SCAN | relaxed; total energy = -26.894 eV/atom
1.0
7.563 0.000 0.000
0.000 7.563 0.000
0.000 0.000 7.563
Pm Ag Sn
8 4 4
direct
0.250 0.250 0.250
0.250 0.250 0.750
0.250 0.750 0.250
0.250 0.750 0.750
0.750 0.250 0.250
0.750 0.250 0.750
0.750 0.750 0.250
0.750 0.750 0.750
0.000 0.000 0.000
0.000 0.500 0.500
0.500 0.000 0.500
0.500 0.500 0.000
0.000 0.000 0.500
0.000 0.500 0.000
0.500 0.000 0.000
0.500 0.500 0.500

=====

Record 4
RbZn13 | the Materials Project database | r2SCAN | relaxed; total energy = -9.342 eV/atom
1.0
0.000 6.117 6.117
6.117 0.000 6.117
6.117 6.117 0.000
Rb Zn
2 26
direct
0.250 0.250 0.250
0.750 0.750 0.750
0.000 0.000 0.000
0.061 0.298 0.702
0.061 0.702 0.939
0.061 0.939 0.298
0.202 0.439 0.798
0.202 0.561 0.439
0.202 0.798 0.561
0.298 0.061 0.939
0.298 0.702 0.061
0.298 0.939 0.702
0.439 0.202 0.561
0.439 0.561 0.798
0.439 0.798 0.202
0.500 0.500 0.500
0.561 0.202 0.798
0.561 0.439 0.202
0.561 0.798 0.439
0.702 0.061 0.298
0.702 0.298 0.939
0.702 0.939 0.061
0.798 0.202 0.439
0.798 0.439 0.561
0.798 0.561 0.202
0.939 0.061 0.702
0.939 0.298 0.061
0.939 0.702 0.298

=====

Record 5
Sc2InPd2 | the Materials Project database | r2SCAN | relaxed; total energy = -19.121 eV/atom
1.0
7.507 0.000 0.000
0.000 7.507 0.000
0.000 0.000 6.773
Sc In Pd
8 4 8
direct
0.161 0.161 0.000
0.181 0.181 0.500
0.319 0.681 0.000
0.339 0.661 0.500
0.661 0.339 0.500
0.681 0.319 0.000
0.819 0.819 0.500
0.839 0.839 0.000
0.000 0.500 0.250
0.000 0.500 0.750
0.500 0.000 0.250
0.500 0.000 0.750
0.130 0.870 0.270
0.130 0.870 0.730
0.370 0.370 0.230
0.370 0.370 0.770
0.630 0.630 0.230
0.630 0.630 0.770
0.870 0.130 0.270
0.870 0.130 0.730

=====

Record 6
NdTa7O19 | the Materials Project database | r2SCAN | relaxed; total energy = -21.094 eV/atom
1.0
6.239 0.000 0.000
-3.120 5.403 0.000
0.000 0.000 20.002
Nd Ta O
2 14 38
direct
0.000 0.000 0.000
0.000 0.000 0.500
0.027 0.334 0.156
0.027 0.334 0.344
0.027 0.692 0.656
0.027 0.692 0.844
0.308 0.334 0.656
0.308 0.334 0.844
0.308 0.973 0.156
0.308 0.973 0.344
0.333 0.667 0.000
0.333 0.667 0.500
0.666 0.692 0.156
0.666 0.692 0.344
0.666 0.973 0.656
0.666 0.973 0.844
0.000 0.000 0.132
0.000 0.000 0.368
0.000 0.000 0.632
0.000 0.000 0.868
0.042 0.289 0.250
0.042 0.753 0.750
0.097 0.385 0.057
0.097 0.385 0.443
0.097 0.712 0.557
0.097 0.712 0.943
0.247 0.289 0.750
0.247 0.958 0.250
0.288 0.385 0.557
0.288 0.385 0.943
0.288 0.903 0.057
0.288 0.903 0.443
0.333 0.667 0.168
0.333 0.667 0.332
0.333 0.667 0.668
0.333 0.667 0.832
0.420 0.087 0.653
0.420 0.087 0.847
0.420 0.333 0.153
0.420 0.333 0.347
0.615 0.712 0.057
0.615 0.712 0.443
0.615 0.903 0.557
0.615 0.903 0.943
0.667 0.087 0.153
0.667 0.087 0.347
0.667 0.580 0.653
0.667 0.580 0.847
0.711 0.753 0.250
0.711 0.958 0.750
0.913 0.333 0.653
0.913 0.333 0.847
0.913 0.580 0.153
0.913 0.580 0.347

=====

Record 7
SmP2Pd2 | the Materials Project database | r2SCAN | relaxed; total energy = -19.767 eV/atom
1.0
4.125 0.000 0.000
0.000 4.125 0.000
0.000 0.000 9.889
Sm P Pd
2 4 4
direct
0.000 0.000 0.000
0.500 0.500 0.500
0.000 0.000 0.388
0.000 0.000 0.612
0.500 0.500 0.112
0.500 0.500 0.888
0.000 0.500 0.250
0.000 0.500 0.750
0.500 0.000 0.250
0.500 0.000 0.750

=====

Record 8
MnSe2 | the Materials Project database | r2SCAN | relaxed; total energy = -15.000 eV/atom
1.0
6.226 0.000 0.000
0.000 6.226 0.000
0.000 0.000 6.226
Mn Se
4 8
direct
0.000 0.000 0.000
0.000 0.500 0.500
0.500 0.000 0.500
0.500 0.500 0.000
0.129 0.629 0.871
0.129 0.871 0.371
0.371 0.129 0.871
0.371 0.371 0.371
0.629 0.629 0.629
0.629 0.871 0.129
0.871 0.129 0.629
0.871 0.371 0.129

=====

Record 9
Pm2CoNi | the Materials Project database | r2SCAN | relaxed; total energy = -21.171 eV/atom
1.0
6.953 0.000 0.000
0.000 6.953 0.000
0.000 0.000 6.953
Pm Co Ni
8 4 4
direct
0.250 0.250 0.250
0.250 0.250 0.750
0.250 0.750 0.250
0.250 0.750 0.750
0.750 0.250 0.250
0.750 0.250 0.750
0.750 0.750 0.250
0.750 0.750 0.750
0.000 0.000 0.000
0.000 0.500 0.500
0.500 0.000 0.500
0.500 0.500 0.000
0.000 0.000 0.500
0.000 0.500 0.000
0.500 0.000 0.000
0.500 0.500 0.500

=====

Record 10
W3Se2S4 | the Materials Project database | r2SCAN | relaxed; total energy = -24.647 eV/atom
1.0
3.226 0.000 0.000
-1.613 2.794 0.000
0.000 0.000 29.168
W Se S
3 2 4
direct
0.000 0.000 0.000
0.667 0.333 0.231
0.667 0.333 0.769
0.667 0.333 0.058
0.667 0.333 0.942
0.000 0.000 0.178
0.000 0.000 0.284
0.000 0.000 0.716
0.000 0.000 0.822

=====

Record 11
UMo4PbO16 | the Materials Project database | r2SCAN | relaxed; total energy = -17.567 eV/atom
1.0
8.539 0.000 0.000
0.000 6.766 0.000
-8.424 0.000 11.482
U Mo Pb O
2 8 2 32
direct
0.000 0.195 0.250
0.000 0.805 0.750
0.203 0.336 0.904
0.203 0.664 0.404
0.295 0.336 0.594
0.295 0.664 0.094
0.705 0.336 0.906
0.705 0.664 0.406
0.797 0.336 0.596
0.797 0.664 0.096
0.500 0.189 0.250
0.500 0.811 0.750
0.000 0.443 0.750
0.000 0.557 0.250
0.099 0.348 0.597
0.099 0.652 0.097
0.128 0.087 0.869
0.128 0.913 0.369
0.182 0.352 0.430
0.182 0.648 0.930
0.209 0.196 0.246
0.209 0.804 0.746
0.310 0.360 0.059
0.310 0.640 0.559
0.354 0.090 0.611
0.354 0.910 0.111
0.399 0.348 0.901
0.399 0.652 0.401
0.500 0.423 0.750
0.500 0.577 0.250
0.601 0.348 0.599
0.601 0.652 0.099
0.646 0.090 0.889
0.646 0.910 0.389
0.690 0.360 0.441
0.690 0.640 0.941
0.791 0.196 0.254
0.791 0.804 0.754
0.818 0.352 0.070
0.818 0.648 0.570
0.872 0.087 0.631
0.872 0.913 0.131
0.901 0.348 0.903
0.901 0.652 0.403

=====

Record 12
Tb5Ge3B | the Materials Project database | r2SCAN | relaxed; total energy = -23.541 eV/atom
1.0
8.610 0.000 0.000
-4.305 7.457 0.000
0.000 0.000 6.449
Tb Ge B
10 6 2
direct
0.000 0.237 0.250
0.000 0.763 0.750
0.237 0.000 0.250
0.237 0.237 0.750
0.333 0.667 0.000
0.333 0.667 0.500
0.667 0.333 0.000
0.667 0.333 0.500
0.763 0.000 0.750
0.763 0.763 0.250
0.000 0.400 0.750
0.000 0.600 0.250
0.400 0.000 0.750
0.400 0.400 0.250
0.600 0.000 0.250
0.600 0.600 0.750
0.000 0.000 0.000
0.000 0.000 0.500